TcP3 | Materials Project | PBE | optimized geometry; DFT formation energy = -0.44 eV per atom; crystal system = orthorhombic
1.0
15.443 0.000 0.000
0.000 3.117 0.000
0.000 0.000 5.173
Tc P
4 12
Direct
0.150 0.250 0.150
0.350 0.750 0.650
0.650 0.250 0.350
0.850 0.750 0.850
0.013 0.250 0.353
0.119 0.750 0.820
0.207 0.750 0.478
0.293 0.250 0.978
0.381 0.250 0.320
0.487 0.750 0.853
0.513 0.250 0.147
0.619 0.750 0.680
0.707 0.750 0.022
0.793 0.250 0.522
0.881 0.250 0.180
0.987 0.750 0.647

=====

Ti2Te2P | Materials Project | PBE | optimized geometry; DFT formation energy = -0.91 eV per atom; crystal system = trigonal
1.0
1.828 1.055 9.936
-1.828 1.055 9.936
0.000 -2.111 9.936
Ti Te P
2 2 1
Direct
0.122 0.122 0.122
0.878 0.878 0.878
0.272 0.272 0.272
0.728 0.728 0.728
0.500 0.500 0.500

=====

UTeP | Materials Project | PBE | optimized geometry; DFT formation energy = -0.70 eV per atom; crystal system = orthorhombic
1.0
1.988 -10.360 0.000
1.988 10.360 0.000
0.000 0.000 3.982
U Te P
2 2 2
Direct
0.089 0.911 0.000
0.911 0.089 0.000
0.342 0.658 0.500
0.658 0.342 0.500
0.000 0.000 0.500
0.500 0.500 0.000